Entry 1:
Below is a relaxed structure of PbAuO2, with properties calculated at the PBE-GGA level.

Crystal system: triclinic
DFT total energy in eV/cell: -38.736

abc: 3.764 5.665 6.974
angles: 88.21 82.51 89.33
Positions (direct):
1 Pb 0.186 0.003 0.237
2 Pb 0.814 0.997 0.763
3 Au 0.500 0.500 0.000
4 Au 0.500 0.500 0.500
5 O 0.290 0.187 0.933
6 O 0.390 0.677 0.752
7 O 0.610 0.323 0.248
8 O 0.710 0.813 0.067


Entry 2:
Below is a relaxed structure of PbAuO2, with properties calculated at the PBE-GGA level.

Crystal system: monoclinic
DFT total energy in eV/cell: -38.640

abc: 6.587 3.670 6.661
angles: 90.00 111.02 90.00
Positions (direct):
1 Pb 0.000 0.000 0.000
2 Pb 0.500 0.500 0.000
3 Au 0.000 0.500 0.500
4 Au 0.500 0.000 0.500
5 O 0.085 0.500 0.825
6 O 0.361 0.000 0.174
7 O 0.639 0.000 0.826
8 O 0.915 0.500 0.175